## RbAuBr3 (meta-GGA r2SCAN)

Data for a geometry-optimized RbAuBr3 structure.

Summary:
M_tot (Bohr magnetons per cell): 0.0
Final energy (eV/atom): -21.8507
Space group: C2/m
Energy of formation (eV per atom): -0.992

Unit cell a=7.349 b=7.349 c=8.286 alpha=114.49 beta=114.49 gamma=60.46
Atoms (fractional coordinates):
Rb  0.228  0.228  0.228
Rb  0.772  0.772  0.772
Au  0.000  0.000  0.500
Au  0.500  0.500  0.000
Br  0.218  0.218  0.642
Br  0.228  0.700  0.181
Br  0.300  0.772  0.819
Br  0.700  0.228  0.181
Br  0.772  0.300  0.819
Br  0.782  0.782  0.358

## NdH3Se3O12 (meta-GGA r2SCAN)

Data for a geometry-optimized NdH3Se3O12 structure.

Summary:
M_tot (Bohr magnetons per cell): 0.0
Final energy (eV/atom): -9.2974
Space group: P6_3/m
Energy of formation (eV per atom): -1.172

Unit cell a=9.479 b=9.479 c=6.249 alpha=90.00 beta=90.00 gamma=120.00
Atoms (fractional coordinates):
Nd  0.333  0.667  0.250
Nd  0.667  0.333  0.750
H  0.055  0.164  0.750
H  0.109  0.945  0.750
H  0.164  0.109  0.250
H  0.836  0.891  0.750
H  0.891  0.055  0.250
H  0.945  0.836  0.250
Se  0.106  0.706  0.750
Se  0.294  0.400  0.750
Se  0.400  0.106  0.250
Se  0.600  0.894  0.750
Se  0.706  0.600  0.250
Se  0.894  0.294  0.250
O  0.017  0.832  0.750
O  0.039  0.481  0.250
O  0.168  0.185  0.750
O  0.185  0.017  0.250
O  0.217  0.762  0.534
O  0.217  0.762  0.966
O  0.238  0.454  0.534
O  0.238  0.454  0.966
O  0.442  0.961  0.250
O  0.454  0.217  0.034
O  0.454  0.217  0.466
O  0.481  0.442  0.750
O  0.519  0.558  0.250
O  0.546  0.783  0.534
O  0.546  0.783  0.966
O  0.558  0.039  0.750
O  0.762  0.546  0.034
O  0.762  0.546  0.466
O  0.783  0.238  0.034
O  0.783  0.238  0.466
O  0.815  0.983  0.750
O  0.832  0.815  0.250
O  0.961  0.519  0.750
O  0.983  0.168  0.250

## EuCd3 (meta-GGA r2SCAN)

Data for a geometry-optimized EuCd3 structure.

Summary:
M_tot (Bohr magnetons per cell): 7.1
Final energy (eV/atom): -25.0123
Space group: Fm-3m
Energy of formation (eV per atom): -0.303

Unit cell a=5.177 b=5.177 c=5.177 alpha=60.00 beta=60.00 gamma=60.00
Atoms (fractional coordinates):
Eu  0.000  0.000  0.000
Cd  0.250  0.250  0.250
Cd  0.500  0.500  0.500
Cd  0.750  0.750  0.750

## PuSbTe (meta-GGA r2SCAN)

Data for a geometry-optimized PuSbTe structure.

Summary:
M_tot (Bohr magnetons per cell): 9.7
Final energy (eV/atom): -46.9951
Space group: P4/nmm
Energy of formation (eV per atom): -1.168

Unit cell a=4.341 b=4.341 c=9.221 alpha=90.00 beta=90.00 gamma=90.00
Atoms (fractional coordinates):
Pu  0.250  0.250  0.225
Pu  0.750  0.750  0.775
Sb  0.250  0.750  0.500
Sb  0.750  0.250  0.500
Te  0.250  0.250  0.867
Te  0.750  0.750  0.133

## Sm2HgO4 (meta-GGA r2SCAN)

Data for a geometry-optimized Sm2HgO4 structure.

Summary:
M_tot (Bohr magnetons per cell): 0.0
Final energy (eV/atom): -21.7951
Space group: C2/m
Energy of formation (eV per atom): -2.835

Unit cell a=7.144 b=7.144 c=10.214 alpha=120.57 beta=120.57 gamma=30.34
Atoms (fractional coordinates):
Sm  0.119  0.119  0.460
Sm  0.340  0.340  0.200
Sm  0.660  0.660  0.800
Sm  0.881  0.881  0.540
Hg  0.386  0.386  0.838
Hg  0.614  0.614  0.162
O  0.081  0.081  0.653
O  0.268  0.268  0.387
O  0.298  0.298  0.944
O  0.464  0.464  0.720
O  0.536  0.536  0.280
O  0.702  0.702  0.056
O  0.732  0.732  0.613
O  0.919  0.919  0.347

## LaPt3 (meta-GGA r2SCAN)

Data for a geometry-optimized LaPt3 structure.

Summary:
M_tot (Bohr magnetons per cell): 0.0
Final energy (eV/atom): -46.9541
Space group: Pm-3m
Energy of formation (eV per atom): -0.902

Unit cell a=4.214 b=4.214 c=4.214 alpha=90.00 beta=90.00 gamma=90.00
Atoms (fractional coordinates):
La  0.000  0.000  0.000
Pt  0.000  0.500  0.500
Pt  0.500  0.000  0.500
Pt  0.500  0.500  0.000